No. 1
Compound: KGaFeC6N6
Source: Materials Project
Functional: PBE
Structure: relaxed

The calculation puts the energy of formation from the pure elements at -0.134 eV/atom. The spin magnetization is 0.000 μB/atom.

Cell lengths 7.1944, 7.1944, 7.1944 Å; angles 60.00, 60.00, 60.00 degrees
Fractional coordinates of all 15 atoms:
N: 0.7000 0.3000 0.3000
N: 0.3000 0.7000 0.7000
N: 0.7000 0.3000 0.7000
N: 0.3000 0.3000 0.7000
N: 0.3000 0.7000 0.3000
N: 0.7000 0.7000 0.3000
K: 0.7500 0.7500 0.7500
C: 0.1844 0.1844 0.8156
C: 0.1844 0.8156 0.8156
C: 0.1844 0.8156 0.1844
C: 0.8156 0.1844 0.8156
C: 0.8156 0.8156 0.1844
C: 0.8156 0.1844 0.1844
Ga: 0.5000 0.5000 0.5000
Fe: 0.0000 0.0000 0.0000



No. 2
Compound: Nd2Ga3Fe14C2
Source: Materials Project
Functional: PBE
Structure: relaxed

The calculation puts the energy of formation from the pure elements at -0.104 eV/atom. The spin magnetization is 1.238 μB/atom.

Cell lengths 6.5413, 6.5413, 6.5197 Å; angles 83.85, 83.85, 83.68 degrees
Fractional coordinates of all 21 atoms:
C: 0.0000 0.5000 0.5000
C: 0.5000 0.0000 0.5000
Ga: 0.0000 0.5000 0.0000
Ga: 0.5000 0.0000 0.0000
Ga: 0.0000 0.0000 0.5000
Fe: 0.1485 0.6549 0.6570
Fe: 0.3426 0.3426 0.8483
Fe: 0.6574 0.6574 0.1517
Fe: 0.6549 0.1485 0.6570
Fe: 0.7140 0.9993 0.2866
Fe: 0.0923 0.0923 0.0936
Fe: 0.8515 0.3451 0.3430
Fe: 0.9993 0.7140 0.2866
Fe: 0.0007 0.2860 0.7134
Fe: 0.2860 0.0007 0.7134
Fe: 0.3451 0.8515 0.3430
Fe: 0.9077 0.9077 0.9064
Fe: 0.2854 0.7146 0.0000
Fe: 0.7146 0.2854 0.0000
Nd: 0.3484 0.3484 0.3363
Nd: 0.6516 0.6516 0.6637



No. 3
Compound: Sm2Ga2Fe15C
Source: Materials Project
Functional: PBE
Structure: relaxed

The calculation puts the energy of formation from the pure elements at -0.056 eV/atom. The spin magnetization is 1.536 μB/atom.

Cell lengths 6.5075, 6.5075, 6.4959 Å; angles 83.04, 83.04, 83.10 degrees
Fractional coordinates of all 20 atoms:
Fe: 0.0000 0.5000 0.0000
Fe: 0.5000 0.0000 0.0000
Fe: 0.8473 0.3412 0.3434
Fe: 0.7088 0.0002 0.2905
Fe: 0.3412 0.8473 0.3434
Fe: 0.7129 0.2871 0.0000
Fe: 0.9998 0.2912 0.7095
Fe: 0.2912 0.9998 0.7095
Fe: 0.1527 0.6588 0.6566
Fe: 0.6588 0.1527 0.6566
Fe: 0.0000 0.0000 0.5000
Fe: 0.0002 0.7088 0.2905
Fe: 0.3439 0.3439 0.8498
Fe: 0.2871 0.7129 0.0000
Fe: 0.6561 0.6561 0.1502
Ga: 0.8967 0.8967 0.8973
Ga: 0.1033 0.1033 0.1027
C: 0.5000 0.5000 0.0000
Sm: 0.3431 0.3431 0.3537
Sm: 0.6569 0.6569 0.6463



No. 4
Compound: Tb2Ga3Fe14C2
Source: Materials Project
Functional: PBE
Structure: relaxed

The calculation puts the energy of formation from the pure elements at -0.143 eV/atom. The spin magnetization is 1.245 μB/atom.

Cell lengths 6.5206, 6.5206, 6.5263 Å; angles 83.40, 83.40, 82.99 degrees
Fractional coordinates of all 21 atoms:
Fe: 0.1525 0.6503 0.6511
Fe: 0.9088 0.9088 0.9069
Fe: 0.2861 0.0002 0.7148
Fe: 0.3497 0.8475 0.3489
Fe: 0.7091 0.2909 0.0000
Fe: 0.0912 0.0912 0.0931
Fe: 0.0002 0.2861 0.7148
Fe: 0.6503 0.1525 0.6511
Fe: 0.8475 0.3497 0.3489
Fe: 0.7139 0.9998 0.2852
Fe: 0.2909 0.7091 0.0000
Fe: 0.9998 0.7139 0.2852
Fe: 0.3486 0.3486 0.8468
Fe: 0.6514 0.6514 0.1532
Ga: 0.5000 0.0000 0.0000
Ga: 0.0000 0.5000 0.0000
Ga: 0.0000 0.0000 0.5000
C: 0.0000 0.5000 0.5000
C: 0.5000 0.0000 0.5000
Tb: 0.3467 0.3467 0.3397
Tb: 0.6533 0.6533 0.6603



Which formula does entry 1 have? KGaFeC6N6